# 1
## DyP (PBE)

Data for a relaxed structure of DyP.

a = 3.4721 Å, b = 3.4721 Å, c = 3.4721 Å
α = 90.00°, β = 90.00°, γ = 90.00°
With the nearest neighbours (Å) after each atom.
Atoms (fractional coordinates):
Dy: 0.0000 0.0000 0.0000  8 P 3.01
P: 0.5000 0.5000 0.5000  8 Dy 3.01

Summary:
- crystal system = cubic

---

# 2
## CeH16C4Cl3O4 (PBE)

Data for a relaxed structure of CeH16C4Cl3O4.

a = 18.6114 Å, b = 8.3751 Å, c = 8.8818 Å
α = 70.64°, β = 90.00°, γ = 90.00°
With the nearest neighbours (Å) after each atom.
Atoms (fractional coordinates):
Ce: 0.5902 0.3680 0.1809  4 O 2.52-2.55
Ce: 0.0902 0.1320 0.8191  4 O 2.52-2.55
Ce: 0.4098 0.6320 0.8191  4 O 2.52-2.55
Ce: 0.9098 0.8680 0.1809  4 O 2.52-2.55
H: 0.4095 0.4623 0.4425  1 C 1.10
H: 0.6828 0.0756 0.6300  1 C 1.10
H: 0.9333 0.6009 0.5230  1 O 0.99
H: 0.6253 0.7430 0.4499  1 C 1.10
H: 0.4342 0.9328 0.0484  1 C 1.09
H: 0.6897 0.3003 0.5401  1 C 1.09
H: 0.0988 0.8099 0.1049  1 O 1.00
H: 0.5658 0.0672 0.9516  1 C 1.09
H: 0.4012 0.3099 0.1049  1 O 1.00
H: 0.9600 0.1791 0.3964  1 C 1.10
H: 0.6945 0.7594 0.7557  1 C 1.10
H: 0.9424 0.4164 0.1477  1 C 1.10
H: 0.5576 0.9164 0.1477  1 C 1.10
H: 0.6346 0.9110 0.0283  1 C 1.10
H: 0.1945 0.7406 0.2443  1 C 1.10
H: 0.5667 0.1009 0.5230  1 O 0.99
H: 0.2052 0.9655 0.1817  1 C 1.10
H: 0.8219 0.5556 0.1687  1 O 0.99
H: 0.6730 0.6353 0.2876  1 O 0.99
H: 0.9012 0.1901 0.8951  1 O 1.00
H: 0.8270 0.1353 0.2876  1 O 0.99
H: 0.0905 0.9623 0.4425  1 C 1.10
H: 0.3270 0.3647 0.7124  1 O 0.99
H: 0.8103 0.8003 0.5401  1 C 1.09
H: 0.3654 0.0890 0.9717  1 C 1.10
H: 0.8654 0.4110 0.0283  1 C 1.10
H: 0.9342 0.5672 0.9516  1 C 1.09
H: 0.6273 0.2115 0.7011  1 C 1.10
H: 0.3103 0.6997 0.4599  1 C 1.09
H: 0.8727 0.7115 0.7011  1 C 1.10
H: 0.3172 0.9244 0.3700  1 C 1.10
H: 0.3747 0.2570 0.5501  1 C 1.10
H: 0.4424 0.0836 0.8523  1 C 1.10
H: 0.8055 0.2594 0.7557  1 C 1.10
H: 0.0576 0.5836 0.8523  1 C 1.10
H: 0.3055 0.2406 0.2443  1 C 1.10
H: 0.1730 0.8647 0.7124  1 O 0.99
H: 0.5988 0.6901 0.8951  1 O 1.00
H: 0.7052 0.5345 0.8183  1 C 1.10
H: 0.1273 0.2885 0.2989  1 C 1.10
H: 0.7948 0.0345 0.8183  1 C 1.10
H: 0.5400 0.6791 0.3964  1 C 1.10
H: 0.4333 0.8991 0.4770  1 O 0.99
H: 0.0667 0.3991 0.4770  1 O 0.99
H: 0.3727 0.7885 0.2989  1 C 1.10
H: 0.2513 0.3462 0.0730  1 C 1.10
H: 0.9095 0.0377 0.5575  1 C 1.10
H: 0.7487 0.6538 0.9270  1 C 1.10
H: 0.1781 0.4444 0.8313  1 O 0.99
H: 0.1897 0.1997 0.4599  1 C 1.09
H: 0.8172 0.5756 0.6300  1 C 1.10
H: 0.4600 0.3209 0.6036  1 C 1.10
H: 0.0400 0.8209 0.6036  1 C 1.10
H: 0.2948 0.4655 0.1817  1 C 1.10
H: 0.7513 0.1538 0.9270  1 C 1.10
H: 0.1253 0.7570 0.5501  1 C 1.10
H: 0.6781 0.0556 0.1687  1 O 0.99
H: 0.1828 0.4244 0.3700  1 C 1.10
H: 0.2487 0.8462 0.0730  1 C 1.10
H: 0.3219 0.9444 0.8313  1 O 0.99
H: 0.1346 0.5890 0.9717  1 C 1.10
H: 0.0658 0.4328 0.0484  1 C 1.09
H: 0.5905 0.5377 0.5575  1 C 1.10
H: 0.8747 0.2430 0.4499  1 C 1.10
C: 0.5954 0.9934 0.0582  3 H 1.09-1.10
C: 0.2995 0.3558 0.1402  3 H 1.10
C: 0.2005 0.8558 0.1402  3 H 1.10
C: 0.1528 0.3045 0.4046  3 H 1.09-1.10
C: 0.0954 0.5066 0.9418  3 H 1.09-1.10
C: 0.8472 0.6955 0.5954  3 H 1.09-1.10
C: 0.9057 0.1358 0.4396  3 H 1.10
C: 0.5943 0.6358 0.4396  3 H 1.10
C: 0.4057 0.3642 0.5604  3 H 1.10
C: 0.4046 0.0066 0.9418  3 H 1.09-1.10
C: 0.3472 0.8045 0.4046  3 H 1.09-1.10
C: 0.7995 0.1442 0.8598  3 H 1.10
C: 0.0943 0.8642 0.5604  3 H 1.10
C: 0.9046 0.4934 0.0582  3 H 1.09-1.10
C: 0.7005 0.6442 0.8598  3 H 1.10
C: 0.6528 0.1955 0.5954  3 H 1.09-1.10
Cl: 0.9764 0.8895 0.8743  5 H 2.67-2.99, 2 Ce 2.86-2.94
Cl: 0.7572 0.8338 0.2253  2 H 2.22-2.29
Cl: 0.5236 0.3895 0.8743  5 H 2.67-2.99, 2 Ce 2.86-2.94
Cl: 0.4764 0.6105 0.1257  5 H 2.67-2.99, 2 Ce 2.86-2.94
Cl: 0.2572 0.6662 0.7747  2 H 2.22-2.29
Cl: 0.0236 0.1105 0.1257  5 H 2.67-2.99, 2 Ce 2.86-2.94
Cl: 0.5312 0.8495 0.7144  2 H 2.13-2.32
Cl: 0.0312 0.6505 0.2856  2 H 2.13-2.32
Cl: 0.2428 0.1662 0.7747  2 H 2.22-2.29
Cl: 0.9688 0.3495 0.7144  2 H 2.13-2.32
Cl: 0.4688 0.1505 0.2856  2 H 2.13-2.32
Cl: 0.7428 0.3338 0.2253  2 H 2.22-2.29
O: 0.0992 0.3021 0.5226  1 H 0.99
O: 0.4008 0.8021 0.5226  1 H 0.99
O: 0.1331 0.3890 0.8809  1 H 0.99
O: 0.1391 0.8733 0.0373  1 H 1.00
O: 0.1293 0.9321 0.6714  1 H 0.99
O: 0.3609 0.3733 0.0373  1 H 1.00
O: 0.6331 0.1110 0.1191  1 H 0.99
O: 0.8669 0.6110 0.1191  1 H 0.99
O: 0.3707 0.4321 0.6714  1 H 0.99
O: 0.9008 0.6979 0.4774  1 H 0.99
O: 0.8609 0.1267 0.9627  1 H 1.00
O: 0.5992 0.1979 0.4774  1 H 0.99
O: 0.8707 0.0679 0.3286  1 H 0.99
O: 0.3669 0.8890 0.8809  1 H 0.99
O: 0.6391 0.6267 0.9627  1 H 1.00
O: 0.6293 0.5679 0.3286  1 H 0.99

Summary:
- crystal system = monoclinic

---

Number 1: M_tot 0.0 μB/cell, E_tot -12.16 eV for the cell shown, DFT formation energy -103.3 kJ/mol of atoms. Number 2: M_tot 4.0 μB/cell, E_tot -572.33 eV for the cell shown, DFT formation energy -80.5 kJ/mol of atoms.